# 1
Computed, not measured: HgNCl after structural relaxation at the PBE level of DFT.

Summary:
- Excess energy over the best structure of this formula in the dataset: 788 meV per atom
- Total magnetic moment: 0.00 μB/atom
- Space group: No. 62

abc: 6.8443 7.7009 10.6885
angles: 90.00 90.00 90.00
With the nearest neighbours (Å) after each atom.
Fractional positions:
N  0.7500  0.0456  0.3889  1 Cl 1.79
Hg  0.5000  0.5000  0.5000  2 N 2.12
Cl  0.7500  0.3872  0.2339  1 N 1.79
Hg  0.5000  0.0000  0.5000  2 N 2.11
Hg  0.5000  0.0000  0.0000  2 N 2.12
N  0.2500  0.6273  0.4276  1 Cl 1.78
Cl  0.7500  0.8872  0.2661  1 N 1.79
Cl  0.2500  0.6149  0.2615  1 N 1.78
N  0.2500  0.9544  0.6111  1 Cl 1.79
Cl  0.2500  0.6128  0.7661  1 N 1.79
N  0.2500  0.4544  0.8889  1 Cl 1.79
N  0.2500  0.1273  0.0724  1 Cl 1.78
Hg  0.0000  0.5000  0.5000  2 N 2.12
N  0.7500  0.5456  0.1111  1 Cl 1.79
N  0.7500  0.3727  0.5724  1 Cl 1.78
Hg  0.0000  0.5000  0.0000  2 N 2.11
Hg  0.0000  0.0000  0.0000  2 N 2.12
N  0.7500  0.8727  0.9276  1 Cl 1.78
Cl  0.2500  0.1128  0.7339  1 N 1.79
Cl  0.2500  0.1149  0.2385  1 N 1.78
Cl  0.7500  0.8851  0.7615  1 N 1.78
Hg  0.5000  0.5000  0.0000  2 N 2.11
Cl  0.7500  0.3851  0.7385  1 N 1.78
Hg  0.0000  0.0000  0.5000  2 N 2.11


# 2
Computed, not measured: RbGaCl4 after structural relaxation at the PBE level of DFT.

Summary:
- Space group: No. 62

abc: 7.2793 9.5887 11.4395
angles: 90.00 90.00 90.00
With the nearest neighbours (Å) after each atom.
Fractional positions:
Cl  0.4952  0.6756  0.9212  1 Ga 2.21
Cl  0.2500  0.5462  0.2823  1 Ga 2.20
Cl  0.7500  0.4538  0.7177  1 Ga 2.20
Ga  0.7500  0.3112  0.5673  4 Cl 2.19-2.21
Cl  0.9952  0.3244  0.0788  1 Ga 2.21
Ga  0.2500  0.6888  0.4327  4 Cl 2.19-2.21
Cl  0.7500  0.0462  0.2177  1 Ga 2.20
Cl  0.2500  0.5787  0.6005  1 Ga 2.19
Rb  0.7500  0.6729  0.1823  6 Cl 3.46-3.61
Cl  0.4952  0.8244  0.4212  1 Ga 2.21
Ga  0.2500  0.8112  0.9327  4 Cl 2.19-2.21
Cl  0.7500  0.4213  0.3995  1 Ga 2.19
Rb  0.7500  0.8271  0.6823  6 Cl 3.46-3.61
Cl  0.2500  0.9213  0.1005  1 Ga 2.19
Rb  0.2500  0.1729  0.3177  6 Cl 3.46-3.61
Rb  0.2500  0.3271  0.8177  6 Cl 3.46-3.61
Ga  0.7500  0.1888  0.0673  4 Cl 2.19-2.21
Cl  0.5048  0.3244  0.0788  1 Ga 2.21
Cl  0.0048  0.8244  0.4212  1 Ga 2.21
Cl  0.2500  0.9538  0.7823  1 Ga 2.20
Cl  0.0048  0.6756  0.9212  1 Ga 2.21
Cl  0.5048  0.1756  0.5788  1 Ga 2.21
Cl  0.9952  0.1756  0.5788  1 Ga 2.21
Cl  0.7500  0.0787  0.8995  1 Ga 2.19


# 3
Computed, not measured: Na6CaTi3Si2P4O24 after structural relaxation at the PBE level of DFT.

Summary:
- Excess energy over the best structure of this formula in the dataset: 0 meV per atom
- Total magnetic moment: 0.00 μB/atom

abc: 15.6355 8.9712 8.9889
angles: 89.77 125.10 90.34
With the nearest neighbours (Å) after each atom.
Fractional positions:
O  0.9796  0.6432  0.4203  1 Si 1.64, 1 Ti 1.82
Si  0.3603  0.0971  0.2541  4 O 1.59-1.68
Ca  0.6029  0.7400  0.0611  5 O 2.20-2.31
Na  0.1779  0.0676  0.7692  5 O 2.36-2.64
O  0.5417  0.1715  0.0636  1 P 1.56
O  0.9182  0.8541  0.7564  1 P 1.56
O  0.7460  0.3538  0.7209  1 P 1.55
O  0.3636  0.8429  0.6007  1 P 1.59
P  0.8514  0.4000  0.7554  4 O 1.52-1.59
O  0.7465  0.8057  0.7648  1 Si 1.66
P  0.9957  0.0366  0.2605  4 O 1.52-1.59
O  0.1526  0.4004  0.9295  1 Si 1.60
Na  0.2513  0.2473  0.4961  6 O 2.38-2.52
Si  0.8603  0.5971  0.2541  4 O 1.59-1.68
O  0.5742  0.5402  0.8979  1 P 1.52
Si  0.1518  0.4021  0.7506  4 O 1.60-1.70
O  0.4289  0.5486  0.5618  1 P 1.57
O  0.1475  0.6948  0.4047  1 P 1.54
Na  0.8014  0.9376  0.2428  6 O 2.31-2.57
P  0.1453  0.6244  0.2461  4 O 1.54-1.56
Ti  0.8928  0.7567  0.9389  5 O 1.89-2.08
P  0.9944  0.9473  0.7344  4 O 1.52-1.58
O  0.0383  0.3222  0.5785  1 Si 1.70, 1 Ti 1.89
O  0.3573  0.1344  0.0675  1 Si 1.68
P  0.4944  0.4473  0.7344  4 O 1.52-1.58
O  0.4182  0.3541  0.7564  1 P 1.56
O  0.3549  0.9128  0.2661  1 Si 1.66
Na  0.3014  0.4376  0.2428  6 O 2.31-2.57
Ca  0.1029  0.2400  0.0611  5 O 2.20-2.31
O  0.1635  0.5782  0.7141  1 Si 1.64
O  0.9289  0.0486  0.5618  1 P 1.57
O  0.2460  0.8538  0.7209  1 P 1.55
O  0.0417  0.6715  0.0636  1 P 1.56
Na  0.0125  0.6046  0.7754  4 O 2.34-2.57
O  0.0626  0.8308  0.7151  1 P 1.58
O  0.6526  0.9004  0.9295  1 Si 1.60
O  0.8536  0.5739  0.7475  1 P 1.56
P  0.4957  0.5366  0.2605  4 O 1.52-1.59
O  0.9408  0.3401  0.9388  1 P 1.52
O  0.0487  0.9387  0.4309  1 P 1.53
O  0.8573  0.6344  0.0675  1 Si 1.68
Ti  0.8978  0.2576  0.4473  4 O 1.89-2.06
O  0.2465  0.3057  0.7648  1 Si 1.66
Ti  0.6041  0.2428  0.5536  4 O 1.82-1.99
O  0.6635  0.0782  0.7141  1 Si 1.64
O  0.4384  0.4295  0.0881  1 P 1.59
O  0.0742  0.0402  0.8979  1 P 1.52
O  0.6522  0.9537  0.2695  1 P 1.54
O  0.8549  0.4128  0.2661  1 Si 1.66
Na  0.6779  0.5676  0.7692  5 O 2.36-2.64
O  0.9384  0.9295  0.0881  1 P 1.59
O  0.4408  0.8401  0.9388  1 P 1.52
O  0.5748  0.6421  0.2681  1 P 1.52
Na  0.5125  0.1046  0.7754  4 O 2.34-2.57
Na  0.9995  0.3833  0.2443  4 O 2.35-2.42
O  0.5487  0.4387  0.4309  1 P 1.53
O  0.4070  0.6291  0.2469  1 P 1.56
O  0.5626  0.3308  0.7151  1 P 1.58
O  0.6475  0.1948  0.4047  1 P 1.54
Ti  0.1041  0.7428  0.5536  4 O 1.82-1.99
O  0.2413  0.6835  0.2536  1 P 1.55
Ti  0.3928  0.2567  0.9389  5 O 1.89-2.08
O  0.2778  0.1872  0.2681  1 Si 1.59
O  0.4796  0.1432  0.4203  1 Si 1.64, 1 Ti 1.82
P  0.3514  0.9000  0.7554  4 O 1.52-1.59
O  0.8636  0.3429  0.6007  1 P 1.59
O  0.7413  0.1835  0.2536  1 P 1.55
Si  0.6518  0.9021  0.7506  4 O 1.60-1.70
Na  0.7509  0.2434  0.9969  6 O 2.40-2.67
O  0.0748  0.1421  0.2681  1 P 1.52
O  0.5383  0.8222  0.5785  1 Si 1.70, 1 Ti 1.89
P  0.6453  0.1244  0.2461  4 O 1.54-1.56
O  0.7778  0.6872  0.2681  1 Si 1.59
Na  0.4995  0.8833  0.2443  4 O 2.35-2.42
Na  0.7513  0.7473  0.4961  6 O 2.38-2.52
Ti  0.3978  0.7576  0.4473  4 O 1.89-2.06
Na  0.2509  0.7434  0.9969  6 O 2.40-2.67
O  0.1522  0.4537  0.2695  1 P 1.54
O  0.3536  0.0739  0.7475  1 P 1.56
O  0.9070  0.1291  0.2469  1 P 1.56


Final energy readings, ordered: -8.44; -20.40; -286.62 eV/f.u.
DFT formation energy readings, ordered: 0.48; -1.91; -2.96 eV per atom